No. 1
A relaxed NdTa3O9 crystal. Source: the Materials Project, functional PBE-GGA.

Properties
Distance to the lowest polymorph of the same formula = 20 meV per atom
Crystal system = triclinic

Unit cell a=5.5803 b=8.8263 c=8.8845 alpha=101.51 beta=108.26 gamma=108.40
Fractional coordinates of all 26 atoms:
Nd  0.3262  0.6631  0.0023
Nd  0.6738  0.3369  0.9977
Ta  0.3337  0.9179  0.7503
Ta  0.0121  0.7621  0.2644
Ta  0.3348  0.4126  0.2586
Ta  0.6663  0.0821  0.2497
Ta  0.9879  0.2379  0.7356
Ta  0.6652  0.5874  0.7414
O  0.3259  0.9051  0.2326
O  0.5000  0.0000  0.0000
O  0.8012  0.8997  0.2302
O  0.0195  0.7507  0.7692
O  0.5000  0.5000  0.5000
O  0.1672  0.8344  0.5032
O  0.6488  0.5737  0.2193
O  0.8382  0.6510  0.0003
O  0.1618  0.3490  0.9997
O  0.8542  0.4259  0.7729
O  0.5050  0.2536  0.2313
O  0.4950  0.7464  0.7687
O  0.1458  0.5741  0.2271
O  0.8328  0.1656  0.4968
O  0.9805  0.2493  0.2308
O  0.3512  0.4263  0.7807
O  0.1988  0.1003  0.7698
O  0.6741  0.0949  0.7674



No. 2
A relaxed YMn6Sn4Ge2 crystal. Source: the Materials Project, functional PBE-GGA.

Properties
Crystal system = hexagonal

Unit cell a=5.3487 b=5.3487 c=8.6768 alpha=90.00 beta=90.00 gamma=120.00
Fractional coordinates of all 13 atoms:
Y  0.0000  0.0000  0.0000
Mn  0.5000  0.5000  0.7668
Mn  0.5000  0.5000  0.2332
Mn  0.0000  0.5000  0.7668
Mn  0.0000  0.5000  0.2332
Mn  0.5000  0.0000  0.7668
Mn  0.5000  0.0000  0.2332
Sn  0.6667  0.3333  0.5000
Sn  0.3333  0.6667  0.5000
Sn  0.0000  0.0000  0.6657
Sn  0.0000  0.0000  0.3343
Ge  0.6667  0.3333  0.0000
Ge  0.3333  0.6667  0.0000



No. 3
A relaxed UMnAl crystal. Source: the Materials Project, functional PBE-GGA.

Properties
Crystal system = orthorhombic

Unit cell a=5.3349 b=5.3349 c=8.1719 alpha=90.00 beta=90.00 gamma=120.67
Fractional coordinates of all 12 atoms:
U  0.3311  0.6689  0.1946
U  0.6725  0.3275  0.3373
U  0.6725  0.3275  0.6627
U  0.3311  0.6689  0.8054
Mn  0.8278  0.1722  0.0000
Mn  0.1738  0.3457  0.5000
Mn  0.6543  0.8262  0.5000
Mn  0.1696  0.8304  0.5000
Al  0.9972  0.0028  0.2588
Al  0.9972  0.0028  0.7412
Al  0.8295  0.6597  0.0000
Al  0.3403  0.1705  0.0000



No. 4
A relaxed NaPO4 crystal. Source: the Materials Project, functional PBE-GGA.

Properties
Distance to the lowest polymorph of the same formula = 52 meV per atom
Crystal system = monoclinic

Unit cell a=13.5913 b=6.5341 c=9.6044 alpha=85.01 beta=90.00 gamma=90.00
Fractional coordinates of all 48 atoms:
Na  0.1285  0.4814  0.9799
Na  0.6285  0.5186  0.5201
Na  0.8715  0.5186  0.0201
Na  0.3715  0.4814  0.4799
Na  0.1116  0.1028  0.5116
Na  0.6116  0.8972  0.9884
Na  0.8884  0.8972  0.4884
Na  0.3884  0.1028  0.0116
P  0.4964  0.0999  0.6867
P  0.9964  0.9001  0.8133
P  0.5036  0.9001  0.3133
P  0.0036  0.0999  0.1867
P  0.3351  0.9868  0.4990
P  0.8351  0.0132  0.0010
P  0.6649  0.0132  0.5010
P  0.1649  0.9868  0.9990
O  0.2134  0.7832  0.9910
O  0.7134  0.2168  0.5090
O  0.7866  0.2168  0.0090
O  0.2866  0.7832  0.4910
O  0.2735  0.1790  0.4956
O  0.7735  0.8210  0.0044
O  0.7265  0.8210  0.5044
O  0.2265  0.1790  0.9956
O  0.4021  0.9693  0.6405
O  0.9021  0.0307  0.8595
O  0.5979  0.0307  0.3595
O  0.0979  0.9693  0.1405
O  0.4956  0.3140  0.6163
O  0.9956  0.6860  0.8837
O  0.5044  0.6860  0.3837
O  0.0044  0.3140  0.1163
O  0.0014  0.9337  0.6569
O  0.5014  0.0663  0.8431
O  0.9986  0.0663  0.3431
O  0.4986  0.9337  0.1569
O  0.0853  0.0355  0.8728
O  0.5853  0.9645  0.6272
O  0.9147  0.9645  0.1272
O  0.4147  0.0355  0.3728
O  0.3916  0.5735  0.9836
O  0.8916  0.4265  0.5164
O  0.6084  0.4265  0.0164
O  0.1084  0.5735  0.4836
O  0.1118  0.5024  0.6067
O  0.6118  0.4976  0.8933
O  0.8882  0.4976  0.3933
O  0.3882  0.5024  0.1067



No. 5
A relaxed Dy2Ga9Ru3 crystal. Source: the Materials Project, functional PBE-GGA.

Properties
Crystal system = orthorhombic

Unit cell a=7.4797 b=7.4797 c=9.7276 alpha=90.00 beta=90.00 gamma=119.04
Fractional coordinates of all 28 atoms:
Dy  0.3243  0.0022  0.7500
Dy  0.6757  0.9978  0.2500
Dy  0.0022  0.3243  0.7500
Dy  0.9978  0.6757  0.2500
Ga  0.8667  0.8667  0.7500
Ga  0.1333  0.1333  0.2500
Ga  0.6623  0.6623  0.4387
Ga  0.3377  0.3377  0.9387
Ga  0.6623  0.6623  0.0613
Ga  0.3377  0.3377  0.5613
Ga  0.4444  0.6598  0.7500
Ga  0.5556  0.3402  0.2500
Ga  0.6598  0.4444  0.7500
Ga  0.3402  0.5556  0.2500
Ga  0.0094  0.3382  0.0773
Ga  0.9906  0.6618  0.5773
Ga  0.3382  0.0094  0.4227
Ga  0.6618  0.9906  0.9227
Ga  0.9906  0.6618  0.9227
Ga  0.0094  0.3382  0.4227
Ga  0.6618  0.9906  0.5773
Ga  0.3382  0.0094  0.0773
Ru  0.0000  0.0000  0.5000
Ru  0.0000  0.0000  0.0000
Ru  0.6763  0.3237  0.5000
Ru  0.3237  0.6763  0.0000
Ru  0.3237  0.6763  0.5000
Ru  0.6763  0.3237  0.0000



No. 6
A relaxed MgSO4 crystal. Source: the Materials Project, functional PBE-GGA.

Properties
Crystal system = monoclinic

Unit cell a=5.0478 b=12.1391 c=7.7071 alpha=90.00 beta=130.83 gamma=90.00
Fractional coordinates of all 24 atoms:
Mg  0.1834  0.2336  0.3226
Mg  0.1834  0.2664  0.8226
Mg  0.8166  0.7664  0.6774
Mg  0.8166  0.7336  0.1774
S  0.7393  0.1166  0.8230
S  0.7393  0.3834  0.3230
S  0.2607  0.8834  0.1770
S  0.2607  0.6166  0.6770
O  0.0745  0.1792  0.0253
O  0.0745  0.3208  0.5253
O  0.9255  0.8208  0.9747
O  0.9255  0.6792  0.4747
O  0.6680  0.3219  0.1194
O  0.6680  0.1781  0.6194
O  0.3320  0.6781  0.8806
O  0.3320  0.8219  0.3806
O  0.4490  0.3605  0.3246
O  0.4490  0.1395  0.8246
O  0.5510  0.6395  0.6754
O  0.5510  0.8605  0.1754
O  0.8945  0.1161  0.3248
O  0.8945  0.3839  0.8248
O  0.1055  0.8839  0.6752
O  0.1055  0.6161  0.1752



No. 7
A relaxed BaPbO3 crystal. Source: the Materials Project, functional PBE-GGA.

Properties
Crystal system = cubic

Unit cell a=4.3622 b=4.3622 c=4.3622 alpha=90.00 beta=90.00 gamma=90.00
Fractional coordinates of all 5 atoms:
Ba  0.5000  0.5000  0.5000
Pb  0.0000  0.0000  0.0000
O  0.0000  0.5000  0.0000
O  0.0000  0.0000  0.5000
O  0.5000  0.0000  0.0000



No. 8
A relaxed Mn2SiNi crystal. Source: the Materials Project, functional PBE-GGA.

Properties
Crystal system = cubic

Unit cell a=4.0036 b=4.0036 c=4.0036 alpha=60.00 beta=60.00 gamma=60.00
Fractional coordinates of all 4 atoms:
Mn  0.0000  0.0000  0.0000
Mn  0.2500  0.2500  0.2500
Si  0.7500  0.7500  0.7500
Ni  0.5000  0.5000  0.5000



No. 9
A relaxed LiHoO3 crystal. Source: the Materials Project, functional PBE-GGA.

Properties
Crystal system = cubic

Unit cell a=3.6631 b=3.6631 c=3.6631 alpha=90.00 beta=90.00 gamma=90.00
Fractional coordinates of all 5 atoms:
Li  0.0000  0.0000  0.0000
Ho  0.5000  0.5000  0.5000
O  0.0000  0.0000  0.5000
O  0.0000  0.5000  0.0000
O  0.5000  0.0000  0.0000



No. 10
A relaxed NaNd3Ti2Sb2O14 crystal. Source: the Materials Project, functional PBE-GGA.

Properties
Distance to the lowest polymorph of the same formula = 0 meV per atom
Crystal system = monoclinic

Unit cell a=7.3822 b=7.4333 c=12.8048 alpha=54.87 beta=90.00 gamma=90.00
Fractional coordinates of all 44 atoms:
Na  0.5000  0.5000  0.0000
Na  0.5000  0.5000  0.5000
Nd  0.2706  0.0000  0.7500
Nd  0.2580  0.5000  0.7500
Nd  0.7420  0.5000  0.2500
Nd  0.0000  0.5000  0.0000
Nd  0.7294  0.0000  0.2500
Nd  0.0000  0.5000  0.5000
Ti  0.0000  0.0000  0.5000
Ti  0.0000  0.0000  0.0000
Ti  0.7621  0.0000  0.7500
Ti  0.2379  0.0000  0.2500
Sb  0.2449  0.5000  0.2500
Sb  0.7551  0.5000  0.7500
Sb  0.5000  0.0000  0.0000
Sb  0.5000  0.0000  0.5000
O  0.2486  0.6286  0.8729
O  0.0533  0.0716  0.1224
O  0.2499  0.0756  0.9244
O  0.7514  0.6286  0.3729
O  0.0463  0.6782  0.1228
O  0.5549  0.0565  0.6309
O  0.9467  0.0716  0.6224
O  0.0463  0.3218  0.3772
O  0.7682  0.6811  0.8192
O  0.7501  0.0756  0.4244
O  0.2318  0.3189  0.1808
O  0.2499  0.9244  0.5756
O  0.5490  0.6729  0.6277
O  0.0533  0.9284  0.3776
O  0.9537  0.6782  0.6228
O  0.5490  0.3271  0.8723
O  0.4451  0.0565  0.1309
O  0.9537  0.3218  0.8772
O  0.7682  0.3189  0.6808
O  0.2318  0.6811  0.3192
O  0.2486  0.3714  0.6271
O  0.7501  0.9244  0.0756
O  0.5549  0.9435  0.8691
O  0.4510  0.6729  0.1277
O  0.9467  0.9284  0.8776
O  0.4510  0.3271  0.3723
O  0.7514  0.3714  0.1271
O  0.4451  0.9435  0.3691



No. 11
A relaxed Hg3Rh crystal. Source: the Materials Project, functional PBE-GGA.

Properties
Crystal system = tetragonal

Unit cell a=5.4545 b=5.4545 c=5.4545 alpha=135.16 beta=135.16 gamma=65.28
Fractional coordinates of all 4 atoms:
Hg  0.7500  0.2500  0.5000
Hg  0.2500  0.7500  0.5000
Hg  0.5000  0.5000  0.0000
Rh  0.0000  0.0000  0.0000



No. 12
A relaxed K3Tb crystal. Source: the Materials Project, functional PBE-GGA.

Properties
Distance to the lowest polymorph of the same formula = 7 meV per atom
Crystal system = tetragonal

Unit cell a=7.8356 b=7.8356 c=7.8356 alpha=136.47 beta=136.47 gamma=63.25
Fractional coordinates of all 4 atoms:
K  0.7500  0.2500  0.5000
K  0.2500  0.7500  0.5000
K  0.5000  0.5000  0.0000
Tb  0.0000  0.0000  0.0000



E_tot readings, ordered: -9.543, -6.898, -8.153, -6.237, -5.132, -5.412, -5.765, -7.665, -6.102, -7.612, -1.862, -1.405 eV/atom